No. 1
# Li5V3P8O29 GGA+U relaxed
data_Li5V3P8O29
_chemical_formula_sum 'Li10 V6 P16 O58'
_cell_length_a 9.758
_cell_length_b 9.767
_cell_length_c 14.116
_cell_angle_alpha 90.03
_cell_angle_beta 90.04
_cell_angle_gamma 119.53
_space_group_name_H-M_alt 'P 1'
_space_group_IT_number 1
loop_
_space_group_symop_operation_xyz
'x,y,z'
loop_
_atom_site_label
_atom_site_type_symbol
_atom_site_fract_x
_atom_site_fract_y
_atom_site_fract_z
Li1 Li 0.000 0.000 0.000
Li2 Li 0.001 0.862 0.500
Li3 Li 0.101 0.765 0.879
Li4 Li 0.230 0.757 0.381
Li5 Li 0.238 0.330 0.879
Li6 Li 0.351 0.137 0.435
Li7 Li 0.376 0.109 0.941
Li8 Li 0.429 0.430 0.499
Li9 Li 0.566 0.001 0.498
Li10 Li 0.668 0.193 0.879
V1 V 0.331 0.529 0.689
V2 V 0.333 0.661 0.184
V3 V 0.764 0.526 0.190
V4 V 0.766 0.095 0.688
V5 V 0.890 0.653 0.689
V6 V 0.897 0.096 0.193
P1 P 0.005 0.435 0.307
P2 P 0.017 0.867 0.281
P3 P 0.018 0.008 0.783
P4 P 0.104 0.781 0.098
P5 P 0.110 0.179 0.599
P6 P 0.243 0.317 0.097
P7 P 0.244 0.781 0.596
P8 P 0.417 0.873 0.779
P9 P 0.419 0.406 0.279
P10 P 0.551 0.004 0.281
P11 P 0.554 0.400 0.781
P12 P 0.636 0.317 0.596
P13 P 0.642 0.181 0.099
P14 P 0.664 0.760 0.571
P15 P 0.669 0.761 0.071
P16 P 0.997 0.427 0.808
O1 O 0.004 0.581 0.764
O2 O 0.005 0.289 0.265
O3 O 0.012 0.457 0.411
O4 O 0.074 0.176 0.102
O5 O 0.078 0.758 0.598
O6 O 0.099 0.093 0.874
O7 O 0.106 0.870 0.369
O8 O 0.110 0.871 0.010
O9 O 0.124 0.088 0.518
O10 O 0.127 0.889 0.190
O11 O 0.132 0.103 0.697
O12 O 0.141 0.416 0.769
O13 O 0.151 0.586 0.262
O14 O 0.241 0.622 0.613
O15 O 0.243 0.475 0.112
O16 O 0.246 0.751 0.101
O17 O 0.249 0.351 0.599
O18 O 0.321 0.313 0.007
O19 O 0.327 0.890 0.860
O20 O 0.329 0.859 0.505
O21 O 0.331 0.297 0.189
O22 O 0.341 0.895 0.682
O23 O 0.347 0.322 0.370
O24 O 0.408 0.833 0.273
O25 O 0.412 0.431 0.778
O26 O 0.414 0.560 0.266
O27 O 0.414 0.715 0.771
O28 O 0.519 0.759 0.118
O29 O 0.520 0.605 0.610
O30 O 0.531 0.092 0.189
O31 O 0.532 0.075 0.370
O32 O 0.532 0.295 0.689
O33 O 0.534 0.303 0.513
O34 O 0.542 0.299 0.865
O35 O 0.558 0.112 0.008
O36 O 0.589 0.013 0.779
O37 O 0.591 0.439 0.272
O38 O 0.653 0.905 0.610
O39 O 0.660 0.754 0.966
O40 O 0.668 0.615 0.119
O41 O 0.670 0.178 0.598
O42 O 0.670 0.760 0.465
O43 O 0.677 0.354 0.108
O44 O 0.706 0.003 0.269
O45 O 0.708 0.557 0.771
O46 O 0.791 0.474 0.605
O47 O 0.796 0.175 0.112
O48 O 0.818 0.768 0.615
O49 O 0.820 0.909 0.108
O50 O 0.842 0.283 0.769
O51 O 0.857 0.436 0.260
O52 O 0.860 0.005 0.767
O53 O 0.863 0.711 0.267
O54 O 0.948 0.627 0.110
O55 O 0.951 0.176 0.609
O56 O 0.986 0.007 0.276
O57 O 0.995 0.840 0.781
O58 O 0.997 0.435 0.914
# ΔE_f: -2618 meV per atom
# distance to the lowest polymorph of the same formula: 2 meV per atom


No. 2
# Li5V3P8O29 GGA+U relaxed
data_Li5V3P8O29
_chemical_formula_sum 'Li10 V6 P16 O58'
_cell_length_a 9.798
_cell_length_b 9.832
_cell_length_c 14.110
_cell_angle_alpha 89.44
_cell_angle_beta 89.29
_cell_angle_gamma 60.21
_space_group_name_H-M_alt 'P 1'
_space_group_IT_number 1
loop_
_space_group_symop_operation_xyz
'x,y,z'
loop_
_atom_site_label
_atom_site_type_symbol
_atom_site_fract_x
_atom_site_fract_y
_atom_site_fract_z
Li1 Li 0.000 0.000 0.000
Li2 Li 0.003 0.584 0.503
Li3 Li 0.090 0.817 0.625
Li4 Li 0.116 0.241 0.173
Li5 Li 0.453 0.002 0.510
Li6 Li 0.537 0.810 0.121
Li7 Li 0.678 0.683 0.627
Li8 Li 0.743 0.962 0.062
Li9 Li 0.856 0.135 0.503
Li10 Li 0.861 0.581 0.000
V1 V 0.203 0.907 0.815
V2 V 0.210 0.471 0.307
V3 V 0.338 0.338 0.817
V4 V 0.339 0.908 0.316
V5 V 0.763 0.341 0.312
V6 V 0.771 0.470 0.812
P1 P 0.006 0.587 0.719
P2 P 0.078 0.680 0.903
P3 P 0.087 0.819 0.402
P4 P 0.099 0.244 0.432
P5 P 0.101 0.243 0.936
P6 P 0.433 0.576 0.695
P7 P 0.441 0.576 0.191
P8 P 0.451 0.998 0.727
P9 P 0.464 0.129 0.219
P10 P 0.537 0.222 0.405
P11 P 0.544 0.816 0.906
P12 P 0.684 0.215 0.901
P13 P 0.684 0.674 0.405
P14 P 0.860 0.139 0.719
P15 P 0.860 0.590 0.222
P16 P 0.996 0.001 0.221
O1 O 0.015 0.909 0.491
O2 O 0.020 0.661 0.628
O3 O 0.025 0.991 0.726
O4 O 0.027 0.562 0.222
O5 O 0.089 0.249 0.537
O6 O 0.094 0.096 0.901
O7 O 0.102 0.391 0.388
O8 O 0.105 0.245 0.042
O9 O 0.105 0.655 0.402
O10 O 0.110 0.820 0.903
O11 O 0.145 0.015 0.232
O12 O 0.154 0.429 0.741
O13 O 0.234 0.523 0.894
O14 O 0.248 0.810 0.381
O15 O 0.251 0.239 0.890
O16 O 0.253 0.094 0.396
O17 O 0.281 0.725 0.734
O18 O 0.291 0.006 0.744
O19 O 0.295 0.571 0.235
O20 O 0.299 0.278 0.228
O21 O 0.388 0.380 0.389
O22 O 0.390 0.814 0.893
O23 O 0.428 0.165 0.731
O24 O 0.429 0.574 0.590
O25 O 0.430 0.432 0.745
O26 O 0.433 0.986 0.228
O27 O 0.443 0.723 0.229
O28 O 0.455 0.564 0.086
O29 O 0.512 0.248 0.898
O30 O 0.519 0.822 0.407
O31 O 0.527 0.912 0.637
O32 O 0.539 0.132 0.490
O33 O 0.559 0.886 0.996
O34 O 0.560 0.110 0.134
O35 O 0.562 0.115 0.312
O36 O 0.563 0.907 0.815
O37 O 0.584 0.578 0.731
O38 O 0.587 0.428 0.240
O39 O 0.674 0.525 0.385
O40 O 0.685 0.245 0.401
O41 O 0.687 0.369 0.895
O42 O 0.688 0.647 0.896
O43 O 0.761 0.119 0.804
O44 O 0.768 0.673 0.135
O45 O 0.772 0.696 0.314
O46 O 0.773 0.108 0.981
O47 O 0.773 0.659 0.494
O48 O 0.783 0.151 0.627
O49 O 0.851 0.169 0.232
O50 O 0.857 0.571 0.721
O51 O 0.870 0.427 0.236
O52 O 0.871 0.288 0.742
O53 O 0.951 0.242 0.389
O54 O 0.957 0.397 0.899
O55 O 0.974 0.692 0.985
O56 O 0.980 0.908 0.311
O57 O 0.982 0.931 0.131
O58 O 0.985 0.703 0.805
# ΔE_f: -2618 meV per atom
# distance to the lowest polymorph of the same formula: 2 meV per atom


No. 3
# Li5V3P8O29 GGA+U relaxed
data_Li5V3P8O29
_chemical_formula_sum 'Li10 V6 P16 O58'
_cell_length_a 9.791
_cell_length_b 9.829
_cell_length_c 14.080
_cell_angle_alpha 89.71
_cell_angle_beta 89.57
_cell_angle_gamma 60.27
_space_group_name_H-M_alt 'P 1'
_space_group_IT_number 1
loop_
_space_group_symop_operation_xyz
'x,y,z'
loop_
_atom_site_label
_atom_site_type_symbol
_atom_site_fract_x
_atom_site_fract_y
_atom_site_fract_z
Li1 Li 0.000 0.000 0.000
Li2 Li 0.004 0.854 0.508
Li3 Li 0.009 0.414 0.458
Li4 Li 0.348 0.762 0.676
Li5 Li 0.367 0.177 0.126
Li6 Li 0.454 0.410 0.003
Li7 Li 0.590 0.855 0.004
Li8 Li 0.595 0.407 0.504
Li9 Li 0.659 0.062 0.568
Li10 Li 0.909 0.774 0.121
V1 V 0.115 0.090 0.813
V2 V 0.122 0.654 0.316
V3 V 0.255 0.516 0.813
V4 V 0.256 0.083 0.319
V5 V 0.688 0.519 0.314
V6 V 0.690 0.651 0.811
P1 P 0.004 0.859 0.723
P2 P 0.005 0.001 0.221
P3 P 0.020 0.419 0.693
P4 P 0.022 0.422 0.195
P5 P 0.351 0.753 0.935
P6 P 0.356 0.749 0.438
P7 P 0.368 0.171 0.907
P8 P 0.372 0.311 0.405
P9 P 0.457 0.403 0.221
P10 P 0.465 0.998 0.724
P11 P 0.598 0.401 0.719
P12 P 0.599 0.852 0.224
P13 P 0.768 0.317 0.904
P14 P 0.774 0.775 0.408
P15 P 0.909 0.171 0.405
P16 P 0.918 0.765 0.905
O1 O 0.011 0.431 0.588
O2 O 0.012 0.441 0.091
O3 O 0.016 0.276 0.735
O4 O 0.022 0.572 0.241
O5 O 0.027 0.831 0.230
O6 O 0.028 0.003 0.732
O7 O 0.057 0.190 0.395
O8 O 0.067 0.608 0.889
O9 O 0.163 0.424 0.735
O10 O 0.163 0.993 0.245
O11 O 0.169 0.713 0.736
O12 O 0.172 0.272 0.231
O13 O 0.200 0.901 0.897
O14 O 0.204 0.750 0.396
O15 O 0.209 0.464 0.394
O16 O 0.210 0.179 0.886
O17 O 0.305 0.562 0.246
O18 O 0.313 0.985 0.731
O19 O 0.338 0.173 0.403
O20 O 0.346 0.743 0.544
O21 O 0.350 0.336 0.905
O22 O 0.354 0.601 0.896
O23 O 0.357 0.893 0.396
O24 O 0.360 0.750 0.041
O25 O 0.429 0.429 0.729
O26 O 0.434 0.338 0.131
O27 O 0.437 0.004 0.228
O28 O 0.440 0.084 0.998
O29 O 0.468 0.289 0.307
O30 O 0.470 0.307 0.486
O31 O 0.483 0.076 0.820
O32 O 0.485 0.079 0.641
O33 O 0.501 0.753 0.890
O34 O 0.504 0.596 0.400
O35 O 0.581 0.709 0.244
O36 O 0.585 0.566 0.735
O37 O 0.598 0.427 0.227
O38 O 0.605 0.825 0.732
O39 O 0.672 0.327 0.988
O40 O 0.675 0.325 0.628
O41 O 0.685 0.839 0.132
O42 O 0.692 0.292 0.807
O43 O 0.694 0.878 0.490
O44 O 0.700 0.868 0.309
O45 O 0.766 0.338 0.406
O46 O 0.768 0.747 0.905
O47 O 0.776 0.469 0.884
O48 O 0.784 0.613 0.401
O49 O 0.867 0.569 0.738
O50 O 0.874 0.426 0.244
O51 O 0.888 0.098 0.306
O52 O 0.896 0.874 0.814
O53 O 0.907 0.072 0.485
O54 O 0.920 0.864 0.634
O55 O 0.923 0.847 0.994
O56 O 0.936 0.173 0.905
O57 O 0.940 0.068 0.127
O58 O 0.950 0.743 0.403
# ΔE_f: -2616 meV per atom
# distance to the lowest polymorph of the same formula: 5 meV per atom


No. 4
# Li3VP2O8 GGA+U relaxed
data_Li3VP2O8
_chemical_formula_sum 'Li12 V4 P8 O32'
_cell_length_a 8.729
_cell_length_b 8.765
_cell_length_c 9.199
_cell_angle_alpha 86.83
_cell_angle_beta 87.20
_cell_angle_gamma 67.36
_space_group_name_H-M_alt 'P 1'
_space_group_IT_number 1
loop_
_space_group_symop_operation_xyz
'x,y,z'
loop_
_atom_site_label
_atom_site_type_symbol
_atom_site_fract_x
_atom_site_fract_y
_atom_site_fract_z
Li1 Li 0.000 0.000 0.000
Li2 Li 0.000 0.348 0.125
Li3 Li 0.066 0.423 0.861
Li4 Li 0.217 0.179 0.665
Li5 Li 0.233 0.628 0.102
Li6 Li 0.265 0.240 0.356
Li7 Li 0.474 0.404 0.596
Li8 Li 0.516 0.841 0.131
Li9 Li 0.675 0.713 0.648
Li10 Li 0.715 0.149 0.222
Li11 Li 0.952 0.316 0.438
Li12 Li 0.971 0.903 0.669
V1 V 0.339 0.786 0.484
V2 V 0.594 0.047 0.803
V3 V 0.621 0.505 0.985
V4 V 0.875 0.768 0.300
P1 P 0.098 0.992 0.316
P2 P 0.121 0.565 0.462
P3 P 0.342 0.852 0.824
P4 P 0.389 0.294 0.963
P5 P 0.539 0.041 0.465
P6 P 0.678 0.516 0.324
P7 P 0.828 0.263 0.814
P8 P 0.864 0.708 0.966
O1 O 0.050 0.665 0.957
O2 O 0.084 0.963 0.484
O3 O 0.091 0.168 0.278
O4 O 0.123 0.594 0.292
O5 O 0.128 0.390 0.506
O6 O 0.154 0.905 0.838
O7 O 0.217 0.307 0.018
O8 O 0.268 0.592 0.527
O9 O 0.271 0.855 0.272
O10 O 0.377 0.004 0.473
O11 O 0.380 0.012 0.804
O12 O 0.407 0.297 0.792
O13 O 0.419 0.750 0.686
O14 O 0.428 0.436 0.026
O15 O 0.439 0.748 0.957
O16 O 0.480 0.229 0.450
O17 O 0.532 0.124 0.008
O18 O 0.576 0.604 0.459
O19 O 0.578 0.593 0.185
O20 O 0.640 0.960 0.602
O21 O 0.647 0.959 0.330
O22 O 0.674 0.430 0.781
O23 O 0.738 0.328 0.337
O24 O 0.771 0.804 0.830
O25 O 0.778 0.808 0.101
O26 O 0.796 0.114 0.758
O27 O 0.828 0.246 0.986
O28 O 0.841 0.552 0.313
O29 O 0.842 0.537 0.978
O30 O 0.951 0.705 0.511
O31 O 0.959 0.963 0.233
O32 O 0.987 0.274 0.748
# ΔE_f: -2655 meV per atom
# distance to the lowest polymorph of the same formula: 54 meV per atom


No. 5
# Li7V3P8O29 GGA+U relaxed
data_Li7V3P8O29
_chemical_formula_sum 'Li14 V6 P16 O58'
_cell_length_a 9.830
_cell_length_b 9.842
_cell_length_c 13.919
_cell_angle_alpha 89.81
_cell_angle_beta 89.73
_cell_angle_gamma 60.21
_space_group_name_H-M_alt 'P 1'
_space_group_IT_number 1
loop_
_space_group_symop_operation_xyz
'x,y,z'
loop_
_atom_site_label
_atom_site_type_symbol
_atom_site_fract_x
_atom_site_fract_y
_atom_site_fract_z
Li1 Li 0.000 0.000 0.000
Li2 Li 0.001 0.412 0.504
Li3 Li 0.098 0.653 0.325
Li4 Li 0.100 0.084 0.384
Li5 Li 0.102 0.647 0.824
Li6 Li 0.103 0.219 0.873
Li7 Li 0.441 0.552 0.507
Li8 Li 0.445 0.409 0.002
Li9 Li 0.531 0.659 0.874
Li10 Li 0.661 0.088 0.880
Li11 Li 0.670 0.650 0.379
Li12 Li 0.736 0.293 0.436
Li13 Li 0.781 0.364 0.943
Li14 Li 0.862 0.988 0.506
V1 V 0.204 0.319 0.687
V2 V 0.208 0.881 0.188
V3 V 0.332 0.315 0.191
V4 V 0.333 0.754 0.688
V5 V 0.762 0.885 0.690
V6 V 0.771 0.755 0.186
P1 P 0.079 0.233 0.093
P2 P 0.080 0.092 0.596
P3 P 0.097 0.655 0.565
P4 P 0.104 0.652 0.068
P5 P 0.434 0.987 0.813
P6 P 0.435 0.984 0.310
P7 P 0.451 0.409 0.787
P8 P 0.451 0.542 0.282
P9 P 0.545 0.630 0.097
P10 P 0.546 0.235 0.599
P11 P 0.683 0.094 0.100
P12 P 0.686 0.632 0.593
P13 P 0.854 0.540 0.780
P14 P 0.860 0.005 0.284
P15 P 0.991 0.001 0.782
P16 P 0.991 0.408 0.280
O1 O 0.000 0.314 0.368
O2 O 0.020 0.400 0.784
O3 O 0.029 0.980 0.280
O4 O 0.086 0.512 0.603
O5 O 0.086 0.665 0.456
O6 O 0.094 0.240 0.596
O7 O 0.098 0.806 0.108
O8 O 0.103 0.655 0.961
O9 O 0.107 0.065 0.101
O10 O 0.136 0.836 0.773
O11 O 0.138 0.428 0.266
O12 O 0.232 0.239 0.105
O13 O 0.237 0.943 0.608
O14 O 0.253 0.644 0.600
O15 O 0.255 0.506 0.108
O16 O 0.283 0.131 0.773
O17 O 0.285 0.432 0.773
O18 O 0.286 0.983 0.266
O19 O 0.288 0.693 0.269
O20 O 0.386 0.784 0.106
O21 O 0.390 0.238 0.601
O22 O 0.424 0.402 0.280
O23 O 0.426 0.986 0.416
O24 O 0.430 0.132 0.262
O25 O 0.441 0.570 0.784
O26 O 0.441 0.834 0.777
O27 O 0.447 0.993 0.920
O28 O 0.517 0.238 0.101
O29 O 0.521 0.653 0.594
O30 O 0.532 0.319 0.878
O31 O 0.537 0.546 0.370
O32 O 0.551 0.538 0.009
O33 O 0.559 0.525 0.190
O34 O 0.564 0.309 0.700
O35 O 0.568 0.327 0.520
O36 O 0.581 0.994 0.766
O37 O 0.587 0.836 0.270
O38 O 0.675 0.942 0.112
O39 O 0.681 0.661 0.102
O40 O 0.682 0.788 0.609
O41 O 0.688 0.066 0.600
O42 O 0.754 0.537 0.861
O43 O 0.771 0.092 0.010
O44 O 0.771 0.112 0.192
O45 O 0.772 0.552 0.501
O46 O 0.779 0.091 0.374
O47 O 0.781 0.520 0.681
O48 O 0.843 0.983 0.784
O49 O 0.845 0.573 0.281
O50 O 0.865 0.693 0.771
O51 O 0.871 0.843 0.272
O52 O 0.954 0.809 0.609
O53 O 0.957 0.653 0.115
O54 O 0.972 0.323 0.187
O55 O 0.973 0.106 0.690
O56 O 0.989 0.092 0.507
O57 O 0.989 0.308 0.003
O58 O 0.994 0.091 0.870
# ΔE_f: -2683 meV per atom
# distance to the lowest polymorph of the same formula: 10 meV per atom


In order of appearance, total magnetization = 0.04 0.04 0.04 0.14 0.09 μB/atom.